Record 1
! Fe3P2H2O10 GGA+U relaxed; values from VASP
! Symmetry: No. 14
! Total energy, eV per atom: -6.730
! DFT formation energy, meV per atom: -2091
! Size of the total moment, μB/f.u.: 14.00
&SYSTEM
  ibrav = 0, nat = 34, ntyp = 4
/
ATOMIC_SPECIES
O 16.00 O.upf
H 1.01 H.upf
Fe 55.84 Fe.upf
P 30.97 P.upf
CELL_PARAMETERS angstrom
1.590 5.768 -4.326
2.110 -6.829 -2.289
-6.682 -0.858 -3.600
ATOMIC_POSITIONS crystal
O 0.680 0.874 0.014
O 0.804 0.111 0.501
H 0.090 0.705 0.942
Fe 0.227 0.493 0.233
O 0.180 0.374 0.486
O 0.051 0.619 0.268
O 0.436 0.384 0.229
O 0.196 0.889 0.499
O 0.449 0.881 0.768
O 0.949 0.381 0.732
H 0.590 0.205 0.558
O 0.022 0.762 0.866
H 0.410 0.795 0.442
O 0.304 0.611 0.999
O 0.936 0.884 0.271
Fe 0.273 0.007 0.733
Fe 0.500 0.500 0.500
O 0.320 0.126 0.986
P 0.503 0.255 0.111
O 0.522 0.262 0.634
Fe 0.000 0.000 0.000
O 0.978 0.238 0.134
Fe 0.727 0.993 0.267
O 0.564 0.616 0.771
P 0.997 0.245 0.611
Fe 0.773 0.507 0.767
P 0.497 0.745 0.889
P 0.003 0.755 0.389
O 0.551 0.119 0.232
H 0.910 0.295 0.058
O 0.820 0.626 0.514
O 0.064 0.116 0.729
O 0.696 0.389 0.001
O 0.478 0.738 0.366

=====

Record 2
! Fe6P4H17O27 GGA+U relaxed; values from VASP
! Symmetry: No. 15
! Total energy, eV per atom: -6.066
! DFT formation energy, meV per atom: -1776
! Size of the total moment, μB/f.u.: 29.00
&SYSTEM
  ibrav = 0, nat = 108, ntyp = 4
/
ATOMIC_SPECIES
P 30.97 P.upf
O 16.00 O.upf
Fe 55.84 Fe.upf
H 1.01 H.upf
CELL_PARAMETERS angstrom
-10.259 -3.052 2.639
-7.328 -5.412 6.207
-2.770 14.890 12.127
ATOMIC_POSITIONS crystal
P 0.453 0.363 0.320
O 0.373 0.172 0.723
Fe 0.685 0.227 0.673
H 0.920 0.080 0.250
O 0.650 0.529 0.898
Fe 0.072 0.147 0.580
H 0.299 0.281 0.885
H 0.388 0.002 0.002
H 0.695 0.091 0.192
H 0.281 0.299 0.385
O 0.350 0.471 0.102
P 0.579 0.633 0.473
H 0.550 0.965 0.640
O 0.347 0.158 0.400
H 0.612 0.753 0.274
O 0.968 0.019 0.892
H 0.878 0.867 0.245
O 0.627 0.828 0.277
Fe 0.773 0.315 0.827
O 0.171 0.674 0.982
O 0.473 0.787 0.135
H 0.612 0.998 0.998
O 0.228 0.158 0.031
O 0.811 0.345 0.501
H 0.247 0.388 0.226
O 0.019 0.968 0.392
H 0.867 0.878 0.745
O 0.345 0.811 0.001
P 0.363 0.453 0.820
O 0.873 0.895 0.195
Fe 0.000 0.000 0.500
O 0.340 0.304 0.522
H 0.753 0.612 0.774
P 0.547 0.637 0.680
O 0.660 0.696 0.478
O 0.842 0.653 0.100
H 0.002 0.388 0.502
O 0.108 0.892 0.250
H 0.450 0.035 0.360
O 0.569 0.474 0.166
O 0.471 0.350 0.602
O 0.895 0.873 0.695
O 0.936 0.305 0.162
H 0.719 0.701 0.615
H 0.158 0.852 0.627
O 0.305 0.936 0.662
P 0.367 0.421 0.027
O 0.213 0.527 0.365
O 0.828 0.627 0.777
O 0.105 0.127 0.305
O 0.529 0.650 0.398
Fe 0.000 0.500 0.000
H 0.388 0.247 0.726
O 0.326 0.829 0.518
H 0.122 0.133 0.755
Fe 0.227 0.685 0.173
H 0.909 0.305 0.308
Fe 0.315 0.773 0.327
Fe 0.500 0.000 0.500
O 0.127 0.105 0.805
O 0.526 0.431 0.334
O 0.158 0.228 0.531
H 0.323 0.184 0.235
H 0.998 0.612 0.498
P 0.637 0.547 0.180
H 0.148 0.842 0.873
O 0.674 0.171 0.482
H 0.080 0.920 0.750
H 0.305 0.909 0.808
O 0.588 0.611 0.257
O 0.655 0.189 0.999
O 0.653 0.842 0.600
H 0.184 0.323 0.735
O 0.527 0.213 0.865
O 0.892 0.108 0.750
O 0.304 0.340 0.022
O 0.158 0.347 0.900
O 0.842 0.772 0.469
O 0.172 0.373 0.223
H 0.091 0.695 0.692
O 0.474 0.569 0.666
O 0.431 0.526 0.834
H 0.133 0.122 0.255
Fe 0.147 0.072 0.080
O 0.829 0.326 0.018
O 0.189 0.655 0.499
H 0.842 0.148 0.373
H 0.852 0.158 0.127
Fe 0.000 0.000 0.000
Fe 0.928 0.853 0.420
H 0.701 0.719 0.115
P 0.421 0.367 0.527
O 0.981 0.032 0.608
O 0.032 0.981 0.108
O 0.611 0.588 0.757
H 0.816 0.677 0.265
O 0.412 0.389 0.743
H 0.965 0.550 0.140
Fe 0.853 0.928 0.920
O 0.064 0.695 0.838
O 0.772 0.842 0.969
O 0.695 0.064 0.338
P 0.633 0.579 0.973
O 0.787 0.473 0.635
O 0.389 0.412 0.243
H 0.677 0.816 0.765
H 0.035 0.450 0.860
O 0.696 0.660 0.978

=====

Record 3
! FeP2H8O10 GGA+U relaxed; values from VASP
! Energy above the most stable polymorph in this dataset, meV/atom: 104.6
! Symmetry: No. 14
! Total energy, eV per atom: -5.834
! DFT formation energy, meV per atom: -1701
! Size of the total moment, μB/f.u.: 4.00
&SYSTEM
  ibrav = 0, nat = 42, ntyp = 4
/
ATOMIC_SPECIES
H 1.01 H.upf
O 16.00 O.upf
Fe 55.84 Fe.upf
P 30.97 P.upf
CELL_PARAMETERS angstrom
9.748 0.000 0.000
0.000 6.066 0.000
0.000 5.050 7.147
ATOMIC_POSITIONS crystal
H 0.775 0.367 0.487
O 0.040 0.090 0.185
O 0.676 0.308 0.373
H 0.927 0.087 0.706
O 0.594 0.768 0.097
O 0.176 0.692 0.127
H 0.725 0.367 0.987
O 0.157 0.378 0.888
O 0.460 0.090 0.685
O 0.824 0.308 0.873
H 0.125 0.260 0.038
O 0.351 0.584 0.956
Fe 0.500 0.000 0.500
Fe 0.000 0.000 0.000
O 0.149 0.584 0.456
H 0.937 0.803 0.694
O 0.343 0.378 0.388
O 0.094 0.232 0.403
O 0.906 0.768 0.597
H 0.427 0.913 0.794
P 0.691 0.524 0.164
O 0.406 0.232 0.903
H 0.375 0.260 0.538
O 0.540 0.910 0.315
P 0.309 0.476 0.836
H 0.073 0.913 0.294
O 0.960 0.910 0.815
H 0.573 0.087 0.206
H 0.225 0.633 0.513
P 0.809 0.524 0.664
O 0.324 0.692 0.627
H 0.437 0.197 0.806
P 0.191 0.476 0.336
O 0.851 0.416 0.544
H 0.625 0.740 0.462
O 0.649 0.416 0.044
H 0.875 0.740 0.962
H 0.275 0.633 0.013
O 0.657 0.622 0.612
O 0.843 0.622 0.112
H 0.563 0.803 0.194
H 0.063 0.197 0.306

=====

Record 4
! FeP3H6O9 GGA+U relaxed; values from VASP
! Symmetry: No. 9
! Total energy, eV per atom: -6.006
! DFT formation energy, meV per atom: -1735
! Size of the total moment, μB/f.u.: 5.00
&SYSTEM
  ibrav = 0, nat = 38, ntyp = 4
/
ATOMIC_SPECIES
O 16.00 O.upf
P 30.97 P.upf
Fe 55.84 Fe.upf
H 1.01 H.upf
CELL_PARAMETERS angstrom
-1.368 -7.241 -1.913
2.880 -6.423 2.901
-6.799 -3.005 6.510
ATOMIC_POSITIONS crystal
O 0.151 0.411 0.992
O 0.597 0.783 0.341
O 0.014 0.188 0.726
P 0.788 0.611 0.435
O 0.528 0.341 0.931
Fe 0.296 0.097 0.357
O 0.783 0.597 0.841
O 0.003 0.411 0.359
P 0.136 0.952 0.680
H 0.723 0.849 0.982
O 0.950 0.179 0.020
H 0.849 0.723 0.482
H 0.671 0.295 0.957
H 0.295 0.671 0.457
P 0.952 0.136 0.180
P 0.329 0.389 0.054
H 0.793 0.344 0.238
H 0.604 0.220 0.595
O 0.874 0.981 0.247
O 0.435 0.203 0.180
P 0.389 0.329 0.554
Fe 0.097 0.296 0.857
H 0.220 0.604 0.095
O 0.411 0.003 0.859
H 0.344 0.793 0.738
P 0.611 0.788 0.935
O 0.341 0.528 0.431
O 0.179 0.950 0.520
O 0.203 0.435 0.680
O 0.981 0.874 0.747
O 0.188 0.014 0.226
O 0.411 0.151 0.492
H 0.722 0.045 0.222
O 0.687 0.523 0.569
O 0.523 0.687 0.069
H 0.045 0.722 0.722
H 0.405 0.801 0.138
H 0.801 0.405 0.638

=====

Record 5
! FePH2O4 GGA+U relaxed; values from VASP
! Symmetry: No. 14
! Total energy, eV per atom: -5.633
! DFT formation energy, meV per atom: -1201
! Size of the total moment, μB/f.u.: 5.00
&SYSTEM
  ibrav = 0, nat = 32, ntyp = 4
/
ATOMIC_SPECIES
O 16.00 O.upf
P 30.97 P.upf
H 1.01 H.upf
Fe 55.84 Fe.upf
CELL_PARAMETERS angstrom
-3.842 -4.190 7.528
2.840 -4.403 -1.001
9.644 -0.912 4.414
ATOMIC_POSITIONS crystal
O 0.489 0.731 0.176
O 0.807 0.924 0.752
P 0.653 0.730 0.187
H 0.421 0.124 0.188
O 0.989 0.269 0.324
Fe 0.687 0.084 0.839
Fe 0.187 0.916 0.661
P 0.347 0.270 0.813
O 0.200 0.578 0.218
Fe 0.313 0.916 0.161
O 0.781 0.847 0.536
O 0.219 0.153 0.464
P 0.847 0.730 0.687
Fe 0.813 0.084 0.339
H 0.374 0.663 0.438
O 0.800 0.422 0.782
P 0.153 0.270 0.313
O 0.693 0.924 0.252
O 0.700 0.422 0.282
H 0.126 0.663 0.938
H 0.579 0.876 0.812
O 0.281 0.153 0.964
O 0.011 0.731 0.676
H 0.874 0.337 0.062
O 0.300 0.578 0.718
H 0.079 0.124 0.688
O 0.307 0.076 0.748
O 0.193 0.076 0.248
H 0.626 0.337 0.562
H 0.921 0.876 0.312
O 0.719 0.847 0.036
O 0.511 0.269 0.824

=====

Record 6
! Fe7P6H4O24 GGA+U relaxed; values from VASP
! Symmetry: No. 2
! Total energy, eV per atom: -6.723
! DFT formation energy, meV per atom: -2044
! Size of the total moment, μB/f.u.: 8.00
&SYSTEM
  ibrav = 0, nat = 41, ntyp = 4
/
ATOMIC_SPECIES
P 30.97 P.upf
O 16.00 O.upf
H 1.01 H.upf
Fe 55.84 Fe.upf
CELL_PARAMETERS angstrom
-5.974 -1.018 -2.799
4.460 -5.785 -3.518
-0.355 -2.738 9.177
ATOMIC_POSITIONS crystal
P 0.222 0.146 0.774
O 0.618 0.208 0.489
H 0.339 0.266 0.579
O 0.064 0.546 0.656
O 0.741 0.739 0.532
H 0.822 0.121 0.195
P 0.088 0.585 0.829
Fe 0.386 0.454 0.113
P 0.912 0.415 0.171
O 0.225 0.188 0.940
O 0.898 0.216 0.104
H 0.661 0.734 0.421
O 0.303 0.549 0.922
O 0.790 0.059 0.275
O 0.775 0.812 0.060
P 0.778 0.854 0.226
O 0.259 0.261 0.468
O 0.697 0.451 0.078
O 0.986 0.830 0.341
H 0.178 0.879 0.805
O 0.569 0.753 0.246
O 0.382 0.792 0.511
O 0.726 0.961 0.764
O 0.880 0.463 0.835
Fe 0.614 0.546 0.887
O 0.120 0.537 0.165
O 0.936 0.454 0.344
O 0.014 0.170 0.659
O 0.550 0.633 0.701
Fe 0.731 0.196 0.720
O 0.102 0.784 0.896
O 0.431 0.247 0.754
Fe 0.944 0.290 0.484
O 0.210 0.941 0.725
Fe 0.000 0.000 0.000
Fe 0.056 0.710 0.516
P 0.407 0.221 0.367
P 0.593 0.779 0.633
O 0.274 0.039 0.236
Fe 0.269 0.804 0.280
O 0.450 0.367 0.299

=====

Record 7
! Fe3PH6PbSO14 GGA+U relaxed; values from VASP
! Symmetry: No. 160
! Total energy, eV per atom: -6.059
! DFT formation energy, meV per atom: -1755
! Size of the total moment, μB/f.u.: 15.00
&SYSTEM
  ibrav = 0, nat = 26, ntyp = 6
/
ATOMIC_SPECIES
H 1.01 H.upf
Fe 55.84 Fe.upf
S 32.06 S.upf
O 16.00 O.upf
P 30.97 P.upf
Pb 207.20 Pb.upf
CELL_PARAMETERS angstrom
-6.603 1.467 2.191
-2.775 -4.165 5.050
-0.750 2.789 6.497
ATOMIC_POSITIONS crystal
H 0.314 0.314 0.707
H 0.707 0.314 0.314
Fe 0.498 0.008 0.008
S 0.693 0.693 0.693
O 0.832 0.832 0.502
H 0.314 0.707 0.314
O 0.502 0.832 0.832
P 0.314 0.314 0.314
O 0.260 0.260 0.875
Pb 0.998 0.998 0.998
O 0.405 0.405 0.405
Fe 0.008 0.498 0.008
O 0.832 0.502 0.832
O 0.511 0.167 0.167
O 0.875 0.260 0.260
H 0.694 0.290 0.694
H 0.694 0.694 0.290
Fe 0.008 0.008 0.498
O 0.124 0.745 0.745
O 0.167 0.167 0.511
O 0.745 0.745 0.124
H 0.290 0.694 0.694
O 0.745 0.124 0.745
O 0.167 0.511 0.167
O 0.260 0.875 0.260
O 0.606 0.606 0.606